# 1
Hf2Al: optimized geometry, r2SCAN.

## Properties
**Crystal system**: tetragonal
**ΔE_f**: -0.31 eV/atom
**E**: -391.86 eV for the cell shown
**Size of the total moment**: 0.0 Bohr magnetons per cell

Cell: 6.8122 6.8122 5.2123 Å, 90.00 90.00 90.00°
Closest atoms and distances in Å follow each position.
Space group I4/mcm (No. 140)
One atom of each set of equivalent atoms:
Hf (0.1511, 0.3489, 0.0000)  4 Al 2.90, 3 Hf 2.91-3.23
Al (0.0000, 0.0000, 0.2500)  2 Al 2.61, 8 Hf 2.90

***

# 2
Na3Sb3P2O14: optimized geometry, r2SCAN.

## Properties
**Crystal system**: monoclinic
**ΔE_f**: -2.05 eV/atom
**E**: -469.14 eV for the cell shown
**Size of the total moment**: 0.0 Bohr magnetons per cell

Cell: 6.2990 7.2231 12.4101 Å, 90.00 108.35 90.00°
Closest atoms and distances in Å follow each position.
Space group P2_1/c (No. 14)
One atom of each set of equivalent atoms:
Na (0.0000, 0.0000, 0.0000)  8 O 2.48-2.65
Na (0.4828, 0.2015, 0.0674)  4 O 2.29-2.55
Sb (0.0000, 0.0000, 0.5000)  6 O 1.94-2.04
Sb (0.0300, 0.2424, 0.2571)  6 O 1.93-2.02
P (0.4137, 0.7358, 0.1632)  4 O 1.49-1.57
O (0.0380, 0.7003, 0.9035)  2 Sb 1.94-1.95
O (0.0719, 0.0017, 0.8046)  2 Sb 1.93-1.95
O (0.1211, 0.1889, 0.4216)  2 Sb 1.96-1.98
O (0.2945, 0.7246, 0.7527)  1 P 1.55
O (0.3196, 0.5499, 0.1012)  1 P 1.57
O (0.3449, 0.1941, 0.2615)  1 P 1.54
O (0.3918, 0.6080, 0.5816)  1 P 1.49

***

# 3
ThPb3: optimized geometry, r2SCAN.

## Properties
**Crystal system**: cubic
**ΔE_f**: -0.32 eV/atom
**E**: -243.61 eV for the cell shown
**Size of the total moment**: 0.0 Bohr magnetons per cell

Cell: 4.8951 4.8951 4.8951 Å, 90.00 90.00 90.00°
Closest atoms and distances in Å follow each position.
Space group Pm-3m (No. 221)
One atom of each set of equivalent atoms:
Th (0.0000, 0.0000, 0.0000)  12 Pb 3.46
Pb (0.0000, 0.5000, 0.5000)  8 Pb 3.46, 4 Th 3.46

***

# 4
ErCrB4: optimized geometry, r2SCAN.

## Properties
**Crystal system**: orthorhombic
**ΔE_f**: -0.73 eV/atom
**E**: -330.97 eV for the cell shown
**Size of the total moment**: 0.0 Bohr magnetons per cell

Cell: 5.9076 11.4195 3.4272 Å, 90.00 90.00 90.00°
Closest atoms and distances in Å follow each position.
Space group Pbam (No. 55)
One atom of each set of equivalent atoms:
Er (0.1243, 0.1511, 0.0000)  14 B 2.60-2.73
Cr (0.1268, 0.4171, 0.0000)  10 B 2.26-2.30, 1 Cr 2.41
B (0.0252, 0.6918, 0.5000)  3 B 1.73-1.82
B (0.1136, 0.5470, 0.5000)  3 B 1.72-1.73
B (0.1366, 0.9679, 0.5000)  3 B 1.73-1.81
B (0.2170, 0.8151, 0.5000)  3 B 1.81-1.82

***

# 5
Ho2Ge2O7: optimized geometry, r2SCAN.

## Properties
**Crystal system**: tetragonal
**ΔE_f**: -2.88 eV/atom
**Polymorph energy (0 for the lowest one)**: 22 meV/atom
**E**: -668.10 eV for the cell shown
**Size of the total moment**: 0.0 Bohr magnetons per cell

Cell: 6.7823 6.7823 12.3528 Å, 90.00 90.00 90.00°
Closest atoms and distances in Å follow each position.
Space group P4_12_12 (No. 92)
One atom of each set of equivalent atoms:
Ho (0.1251, 0.3531, 0.1147)  6 O 2.20-2.38
Ge (0.1000, 0.1523, 0.6311)  4 O 1.74-1.78
O (0.0328, 0.0775, 0.8726)  1 Ge 1.74
O (0.0640, 0.6614, 0.1788)  1 Ge 1.78
O (0.1434, 0.3177, 0.2943)  1 Ge 1.74
O (0.1968, 0.1968, 0.5000)  2 Ge 1.77

***

# 6
CaMn4Si5O15: optimized geometry, r2SCAN.

## Properties
**Crystal system**: triclinic
**ΔE_f**: -2.78 eV/atom
**E**: -537.49 eV for the cell shown
**Size of the total moment**: 40.0 Bohr magnetons per cell

Cell: 6.7079 7.7113 11.8195 Å, 105.45 92.41 93.74°
Closest atoms and distances in Å follow each position.
Space group P-1 (No. 2)
One atom of each set of equivalent atoms:
Ca (0.1354, 0.0466, 0.1919)  6 O 2.31-2.56
Mn (0.3004, 0.3051, 0.4785)  3 O 1.97-2.13
Mn (0.3141, 0.4925, 0.7712)  5 O 2.12-2.25
Mn (0.3752, 0.6827, 0.0555)  5 O 2.07-2.26
Mn (0.4668, 0.8827, 0.3521)  6 O 2.12-2.34
Si (0.0017, 0.7794, 0.3750)  4 O 1.60-1.66
Si (0.1377, 0.2709, 0.9705)  4 O 1.59-1.68
Si (0.2082, 0.4622, 0.2393)  4 O 1.59-1.64
Si (0.2529, 0.7458, 0.5898)  4 O 1.60-1.66
Si (0.3444, 0.9267, 0.8463)  4 O 1.60-1.66
O (0.0148, 0.5795, 0.2790)  2 Si 1.64-1.66
O (0.0523, 0.7417, 0.5045)  2 Si 1.64-1.66
O (0.0824, 0.7408, 0.0875)  1 Si 1.59
O (0.1324, 0.3176, 0.1135)  2 Si 1.63-1.64
O (0.1586, 0.9295, 0.3525)  1 Si 1.60
O (0.1978, 0.0561, 0.9358)  2 Si 1.65-1.68
O (0.1986, 0.8630, 0.7225)  2 Si 1.66
O (0.2369, 0.2006, 0.6310)  1 Si 1.62
O (0.2465, 0.3279, 0.3184)  1 Si 1.59
O (0.3078, 0.5514, 0.6008)  1 Si 1.60
O (0.3099, 0.4010, 0.9357)  1 Si 1.62
O (0.3868, 0.7518, 0.8899)  1 Si 1.60
O (0.3948, 0.6015, 0.2318)  1 Si 1.62
O (0.4406, 0.8437, 0.5408)  1 Si 1.63
O (0.4627, 0.9537, 0.1769)  1 Si 1.61

***

# 7
CeAl: optimized geometry, r2SCAN.

## Properties
**Crystal system**: orthorhombic
**ΔE_f**: -0.39 eV/atom
**E**: -306.84 eV for the cell shown
**Size of the total moment**: 8.2 Bohr magnetons per cell

Cell: 9.4135 7.5379 5.3849 Å, 90.00 90.00 90.00°
Closest atoms and distances in Å follow each position.
Space group Cmcm (No. 63)
One atom of each set of equivalent atoms:
Ce (0.1906, 0.1792, 0.2500)  2 Ce 3.10, 6 Al 3.11-3.30
Al (0.0000, 0.1771, 0.7500)  2 Al 2.78, 2 Ce 3.11
Al (0.0000, 0.5000, 0.0000)  4 Al 2.69-2.78

***

# 8
I: optimized geometry, r2SCAN.

## Properties
**Crystal system**: orthorhombic
**ΔE_f**: 0.14 eV/atom
**Polymorph energy (0 for the lowest one)**: 144 meV/atom
**E**: -97.66 eV for the cell shown
**Size of the total moment**: 0.0 Bohr magnetons per cell

Cell: 4.3845 4.7312 7.8197 Å, 90.00 90.00 90.00°
Closest atoms and distances in Å follow each position.
Space group Fmmm (No. 69)
One atom of each set of equivalent atoms:
I (0.0000, 0.0000, 0.0000)  4 I 3.23